Record 1
A plane-wave DFT calculation with PBE+U was carried out for a geometry-optimized MgFePbO3 structure.

Summary:
Energy above the most stable polymorph in this dataset in meV/atom: 0

abc: 4.3969 4.3969 4.4228
angles: 95.60 84.39 95.38
Last column: nearest neighbours and their distance in Å.
Element x y z (fractional)
Mg 0.2399 0.7601 0.2450  3 O 1.98
Fe 0.5396 0.4605 0.5424  6 O 2.16-2.26
Pb 0.8793 0.1206 0.8820  3 O 2.29-2.30
O 0.5284 0.4717 0.0348  1 Mg 1.98, 1 Fe 2.17
O 0.5298 0.9671 0.5313  1 Mg 1.98, 1 Fe 2.16
O 0.0329 0.4700 0.5311  1 Mg 1.98, 1 Fe 2.16

=====

Record 2
A plane-wave DFT calculation with PBE+U was carried out for a geometry-optimized Rb8MgFe2O8 structure.

Summary:
Energy above the most stable polymorph in this dataset in meV/atom: 3

abc: 7.0940 7.0479 9.7690
angles: 72.04 81.42 64.24
Last column: nearest neighbours and their distance in Å.
Element x y z (fractional)
Rb 0.2549 0.7476 0.0403  4 O 2.77-3.11
Rb 0.2634 0.5727 0.4284  5 O 2.77-3.02, 1 Mg 2.99
Rb 0.2421 0.3596 0.8202  3 O 2.79-2.99
Rb 0.1491 0.9326 0.6851  4 O 2.77-2.92, 1 Mg 3.06
Rb 0.8572 0.0643 0.3647  5 O 2.76-3.08, 1 Mg 2.98
Rb 0.7691 0.6272 0.1379  1 O 2.70
Rb 0.7392 0.4942 0.5634  4 O 2.72-3.04
Rb 0.7297 0.2468 0.9818  4 O 2.74-2.90
Mg 0.4262 0.0952 0.4523  3 O 1.92-2.05
Fe 0.2769 0.1544 0.2310  4 O 1.85-1.99
Fe 0.7140 0.8479 0.7433  4 O 1.92-2.02
O 0.1160 0.1687 0.0922  1 Fe 1.85
O 0.1154 0.2439 0.4024  1 Fe 1.99, 1 Mg 2.05
O 0.4548 0.2997 0.2315  1 Fe 1.94
O 0.5293 0.1327 0.6087  1 Mg 1.92, 1 Fe 2.02
O 0.4684 0.8667 0.3520  1 Fe 1.99, 1 Mg 2.03
O 0.5491 0.6819 0.8184  1 Fe 1.92
O 0.9414 0.7103 0.6220  1 Fe 1.93
O 0.8437 0.8839 0.8871  1 Fe 1.92

=====

Record 3
A plane-wave DFT calculation with PBE+U was carried out for a geometry-optimized RbMg6FeO8 structure.

abc: 8.8464 4.5094 4.5094
angles: 90.00 90.00 90.00
Last column: nearest neighbours and their distance in Å.
Element x y z (fractional)
Rb 0.5000 0.0000 0.0000  6 O 2.25-2.49
Mg 0.0000 0.5000 0.5000  6 O 2.20-2.25
Mg 0.5000 0.5000 0.5000  6 O 2.22-2.25
Mg 0.2407 0.0000 0.5000  6 O 2.13-2.29
Mg 0.7593 0.0000 0.5000  6 O 2.13-2.29
Mg 0.2407 0.5000 0.0000  6 O 2.13-2.29
Mg 0.7593 0.5000 0.0000  6 O 2.13-2.29
Fe 0.0000 0.0000 0.0000  2 O 1.94
O 0.2191 0.0000 0.0000  1 Fe 1.94
O 0.7809 0.0000 0.0000  1 Fe 1.94
O 0.2486 0.5000 0.5000  6 Mg 2.20-2.26
O 0.7514 0.5000 0.5000  6 Mg 2.20-2.26
O 0.0000 0.0000 0.5000  4 Mg 2.13-2.25, 2 Fe 2.25
O 0.5000 0.0000 0.5000  2 Rb 2.25, 4 Mg 2.25-2.29
O 0.0000 0.5000 0.0000  4 Mg 2.13-2.25, 2 Fe 2.25
O 0.5000 0.5000 0.0000  4 Mg 2.25-2.29, 2 Rb 2.25

=====

Record 4
A plane-wave DFT calculation with PBE+U was carried out for a geometry-optimized RbMg14FeO16 structure.

Summary:
Energy above the most stable polymorph in this dataset in meV/atom: 14

abc: 8.7072 8.7072 4.3915
angles: 90.00 90.00 90.00
Last column: nearest neighbours and their distance in Å.
Element x y z (fractional)
Rb 0.5000 0.5000 0.0000  6 O 2.20-2.44
Mg 0.0000 0.5000 0.0000  2 O 1.91
Mg 0.5000 0.0000 0.0000  2 O 1.91
Mg 0.0000 0.2513 0.5000  6 O 2.17-2.20
Mg 0.0000 0.7487 0.5000  6 O 2.17-2.20
Mg 0.5000 0.2416 0.5000  6 O 2.10-2.25
Mg 0.5000 0.7584 0.5000  6 O 2.10-2.25
Mg 0.2513 0.0000 0.5000  6 O 2.17-2.20
Mg 0.2416 0.5000 0.5000  6 O 2.10-2.25
Mg 0.7487 0.0000 0.5000  6 O 2.17-2.20
Mg 0.7584 0.5000 0.5000  6 O 2.10-2.25
Mg 0.2495 0.2495 0.0000  6 O 2.17-2.20
Mg 0.2495 0.7505 0.0000  6 O 2.17-2.20
Mg 0.7505 0.2495 0.0000  6 O 2.17-2.20
Mg 0.7505 0.7505 0.0000  6 O 2.17-2.20
Fe 0.0000 0.0000 0.0000  6 O 2.08-2.20
O 0.2390 0.0000 0.0000  1 Fe 2.08, 5 Mg 2.17-2.27
O 0.2194 0.5000 0.0000  1 Mg 1.91
O 0.7610 0.0000 0.0000  1 Fe 2.08, 5 Mg 2.17-2.27
O 0.7806 0.5000 0.0000  1 Mg 1.91
O 0.2488 0.2488 0.5000  6 Mg 2.17-2.20
O 0.2488 0.7512 0.5000  6 Mg 2.17-2.20
O 0.7512 0.2488 0.5000  6 Mg 2.17-2.20
O 0.7512 0.7512 0.5000  6 Mg 2.17-2.20
O 0.0000 0.0000 0.5000  4 Mg 2.19, 2 Fe 2.20
O 0.0000 0.5000 0.5000  6 Mg 2.10-2.20
O 0.5000 0.0000 0.5000  6 Mg 2.10-2.20
O 0.5000 0.5000 0.5000  2 Rb 2.20, 4 Mg 2.25
O 0.0000 0.2390 0.0000  1 Fe 2.08, 5 Mg 2.17-2.27
O 0.0000 0.7610 0.0000  1 Fe 2.08, 5 Mg 2.17-2.27
O 0.5000 0.2194 0.0000  1 Mg 1.91
O 0.5000 0.7806 0.0000  1 Mg 1.91

=====

Record 5
A plane-wave DFT calculation with PBE+U was carried out for a geometry-optimized Rb6MgFe2O6 structure.

Summary:
Energy above the most stable polymorph in this dataset in meV/atom: 80

abc: 6.3925 7.3675 7.3675
angles: 115.12 93.82 93.82
Last column: nearest neighbours and their distance in Å.
Element x y z (fractional)
Rb 0.9547 0.2579 0.7849  5 O 2.87-3.12, 2 Rb 3.20-3.21
Rb 0.9547 0.7849 0.2579  5 O 2.87-3.12, 2 Rb 3.20-3.21
Rb 0.4591 0.2738 0.8229  3 O 2.78-2.92
Rb 0.4591 0.8229 0.2738  3 O 2.78-2.92
Rb 0.2831 0.5571 0.5571  3 O 2.69-2.77, 1 Mg 2.95
Rb 0.7087 0.3721 0.3721  1 O 2.66
Mg 0.5804 0.8732 0.8732  4 O 2.01-2.07
Fe 0.9533 0.8235 0.8235  4 O 2.02-2.13
Fe 0.1576 0.1711 0.1711  2 O 1.96
O 0.2290 0.4261 0.1541  1 Fe 1.96
O 0.7202 0.6199 0.8515  1 Mg 2.07, 1 Fe 2.13
O 0.2660 0.9052 0.9052  1 Fe 2.02, 1 Mg 2.06
O 0.2290 0.1541 0.4261  1 Fe 1.96
O 0.7202 0.8515 0.6199  1 Mg 2.07, 1 Fe 2.13
O 0.8248 0.0601 0.0601  1 Mg 2.01, 2 Fe 2.13-2.20

=====

Record 6
A plane-wave DFT calculation with PBE+U was carried out for a geometry-optimized Rb8MgFe2O8 structure.

Summary:
Energy above the most stable polymorph in this dataset in meV/atom: 27

abc: 6.7915 6.6642 10.3840
angles: 70.71 85.43 63.53
Last column: nearest neighbours and their distance in Å.
Element x y z (fractional)
Rb 0.2687 0.7720 0.0383  4 O 2.78-2.96
Rb 0.2026 0.4640 0.4597  3 O 2.66-2.87, 1 Mg 2.93
Rb 0.3004 0.2847 0.8314  2 O 2.63-2.69
Rb 0.1880 0.9432 0.6181  2 O 2.69-3.00
Rb 0.7582 0.9031 0.3980  4 O 2.63-2.83
Rb 0.8236 0.6661 0.0731  4 O 2.74-2.95
Rb 0.7114 0.4605 0.6788  4 O 2.70-2.83
Rb 0.7346 0.2543 0.0316  3 O 2.75-2.98
Mg 0.6387 0.4063 0.3704  3 O 2.05-2.09
Fe 0.2524 0.1311 0.2531  4 O 1.85-2.05
Fe 0.7506 0.9077 0.7283  4 O 1.91-1.99
O 0.1510 0.2045 0.0753  1 Fe 1.85
O 0.9671 0.2764 0.3376  1 Fe 2.02, 1 Mg 2.05
O 0.4311 0.3045 0.2555  1 Fe 2.02
O 0.6200 0.1940 0.5617  1 Fe 1.99, 1 Mg 2.06
O 0.4461 0.7711 0.3322  1 Fe 2.05, 1 Mg 2.09
O 0.5540 0.7831 0.8272  1 Fe 1.93
O 0.9742 0.6737 0.6610  1 Fe 1.91
O 0.8674 0.9998 0.8497  1 Fe 1.92

=====

Number 1: formation enthalpy at 0 K -1573 meV/atom. Number 2: formation enthalpy at 0 K -1584 meV/atom. Number 3: formation enthalpy at 0 K -2316 meV/atom. Number 4: formation enthalpy at 0 K -2688 meV/atom. Number 5: formation enthalpy at 0 K -1422 meV/atom. Number 6: formation enthalpy at 0 K -1560 meV/atom.